Below is a relaxed structure of Mn3Ni34O40, with properties calculated at the PBE+U level.

The structure in extended XYZ format:
```
77
Lattice="-2.9812 2.9812 21.0601 2.9812 -2.9812 21.0601 2.9812 2.9812 -21.0601" Properties=species:S:1:pos:R:3 pbc="T T T"
Mn 0.0000 0.0000 0.0000
Mn 0.0000 0.0000 16.8340
Mn 0.0000 0.0000 25.2862
Ni 1.4906 1.4906 -10.5300
Ni 1.4906 -1.4906 10.5300
Ni 2.9812 0.0000 0.0000
Ni 1.4510 1.4510 -6.2955
Ni 4.5115 1.4510 -6.2955
Ni 2.9812 0.0000 4.2033
Ni 1.4894 1.4894 -2.1074
Ni 1.4918 -1.4918 18.9527
Ni 2.9812 0.0000 8.4165
Ni 0.0000 0.0000 8.4525
Ni 0.0000 0.0000 12.6334
Ni 1.4894 1.4894 2.1074
Ni 1.4918 -1.4918 23.1675
Ni 2.9812 0.0000 12.6436
Ni 1.4510 1.4510 6.2955
Ni 4.5115 1.4510 6.2955
Ni 2.9812 0.0000 16.8568
Ni -1.4906 1.4906 10.5300
Ni 0.0000 2.9812 0.0000
Ni 1.4906 1.4906 10.5300
Ni 0.0000 2.9812 4.2033
Ni -1.5303 1.5303 14.7646
Ni 1.5303 1.5303 14.7646
Ni -1.4918 1.4918 18.9527
Ni 0.0000 2.9812 8.4165
Ni 0.0000 0.0000 29.4868
Ni 1.4918 1.4918 18.9527
Ni 0.0000 0.0000 33.6677
Ni -1.4918 1.4918 23.1675
Ni 0.0000 2.9812 12.6436
Ni 1.4918 1.4918 23.1675
Ni 0.0000 2.9812 16.8568
Ni -1.5303 1.5303 27.3556
Ni 1.5303 1.5303 27.3556
O 0.0000 0.0000 1.9307
O 2.9812 0.0000 2.0973
O 1.5060 1.5060 -8.4185
O 1.4753 -1.4753 12.6416
O 2.9812 0.0000 6.2991
O 0.0000 0.0000 6.4510
O 1.6139 1.6139 -4.2000
O 1.3674 -1.3674 16.8601
O 1.3687 1.3687 0.0000
O 1.6126 -1.6126 21.0601
O 0.0000 0.0000 10.5335
O 2.9812 0.0000 10.5300
O 2.9812 0.0000 14.7610
O 0.0000 0.0000 14.8524
O 1.6139 1.6139 4.2000
O 1.3674 -1.3674 25.2601
O 0.0000 0.0000 18.7521
O 2.9812 0.0000 18.9628
O 1.5060 1.5060 8.4185
O 1.4753 -1.4753 29.4786
O -1.4753 1.4753 12.6416
O 1.4753 1.4753 12.6416
O 0.0000 2.9812 2.0973
O 0.0000 0.0000 23.3681
O -1.3674 1.3674 16.8601
O 1.3674 1.3674 16.8601
O 0.0000 0.0000 27.2678
O 0.0000 2.9812 6.2991
O 0.0000 2.9812 10.5300
O 0.0000 0.0000 31.5867
O -1.6126 1.6126 21.0601
O 1.6126 1.6126 21.0601
O -1.3674 1.3674 25.2601
O 1.3674 1.3674 25.2601
O 0.0000 0.0000 35.6692
O 0.0000 2.9812 14.7610
O -1.4753 1.4753 29.4786
O 1.4753 1.4753 29.4786
O 0.0000 2.9812 18.9628
O 0.0000 0.0000 40.1894
```

Output
SG	No. 139

Below is a relaxed structure of Mn2NiO4, with properties calculated at the PBE+U level.

The structure in extended XYZ format:
```
28
Lattice="5.1702 -3.0468 0.0000 5.1702 3.0468 0.0000 -3.3215 0.0000 9.7830" Properties=species:S:1:pos:R:3 pbc="T T T"
Mn 0.0000 0.0000 0.0000
Mn 0.0348 0.0000 5.4829
Mn 4.3518 1.5104 2.4290
Mn 2.7291 1.5033 7.3267
Mn 0.1942 0.0000 9.1435
Mn 4.3518 -1.5104 2.4290
Mn 2.7291 -1.5033 7.3267
Mn 7.0548 0.0000 4.2552
Ni 1.7919 0.0000 2.4261
Ni 3.5485 0.0000 4.8681
Ni 6.8250 0.0000 0.6262
Ni 5.2902 0.0000 7.3330
O -0.0378 0.0000 3.4253
O -1.7496 0.0000 8.4927
O 1.1731 1.6894 8.5267
O 2.8253 1.3898 3.5352
O 5.9131 1.6991 1.2009
O 4.2842 1.3994 6.2290
O 1.9265 0.0000 6.2466
O 3.5885 0.0000 1.3815
O 3.4869 0.0000 8.4049
O 5.1531 0.0000 3.5377
O 2.8253 -1.3898 3.5352
O 1.1731 -1.6894 8.5267
O 4.2842 -1.3994 6.2290
O 8.7293 0.0000 1.1963
O 5.9131 -1.6991 1.2009
O 7.1334 0.0000 6.3173
```

Output
energy above the lowest structure with this stoichiometry	0.0282	eV per atom
SG	No. 8

Below is a relaxed structure of Mn2NiO4, with properties calculated at the PBE+U level.

The structure in extended XYZ format:
```
14
Lattice="-2.8903 2.9434 4.6435 2.8903 -2.9434 4.6435 2.8903 2.9434 -4.6435" Properties=species:S:1:pos:R:3 pbc="T T T"
Mn 0.0000 0.0000 0.0000
Mn -1.4451 1.4717 2.3218
Mn 0.0000 2.9434 0.0000
Mn 1.4451 1.4717 2.3218
Ni 2.8903 1.4717 -1.2110
Ni 0.0000 1.4717 5.8545
O 1.3220 1.4717 0.0088
O 1.5683 -1.4717 4.6523
O 0.0000 0.1387 2.3103
O 2.8903 0.1387 2.3332
O 0.0000 2.8047 2.3103
O 2.8903 2.8047 2.3332
O 1.3220 4.4151 -0.0088
O 1.5683 1.4717 4.6348
```

Output
energy above the lowest structure with this stoichiometry	0.0557	eV per atom
SG	No. 74

Below is a relaxed structure of Mn2NiO4, with properties calculated at the PBE+U level.

The structure in extended XYZ format:
```
14
Lattice="0.0000 4.7258 4.0267 4.1761 0.0000 4.0267 4.1761 4.7258 0.0000" Properties=species:S:1:pos:R:3 pbc="T T T"
Mn 3.1002 1.1754 2.0133
Mn 5.1882 1.1875 4.0267
Mn 1.0759 3.5504 2.0133
Mn 3.1640 8.2641 4.0267
Ni 4.1761 4.7258 3.0873
Ni 6.2642 7.0887 5.1006
O 3.2244 1.1462 3.9658
O 5.3776 3.4626 4.0744
O 1.1364 1.2167 1.9524
O 3.0397 3.5091 1.9524
O 3.2895 3.6261 6.0878
O 0.9517 3.5796 3.9658
O 5.0627 5.8255 6.0878
O 2.9746 5.9890 4.0744
```

Output
energy above the lowest structure with this stoichiometry	0.0367	eV per atom
SG	No. 43

Below is a relaxed structure of MnNi3P4O16, with properties calculated at the PBE+U level.

The structure in extended XYZ format:
```
24
Lattice="4.7897 0.0000 0.0000 0.0000 5.8148 0.0000 -0.0314 0.0000 9.9113" Properties=species:S:1:pos:R:3 pbc="T T T"
Mn 0.0000 0.0000 0.0000
Ni 2.0022 0.0000 4.9913
Ni 2.4081 2.9074 0.4486
Ni 4.4082 2.9074 5.4253
P 0.1889 2.9074 8.5851
P 1.7491 2.9074 3.6546
P 2.6674 0.0000 1.7817
P 4.1426 0.0000 6.7595
O 0.6259 2.9074 7.1252
O 0.8709 0.0000 6.6157
O 0.8855 1.6960 9.3505
O 0.8855 4.1189 9.3505
O 1.0468 1.7138 4.3947
O 1.0468 4.1010 4.3947
O 1.1454 0.0000 1.5414
O 1.4314 2.9074 2.1587
O 2.9735 0.0000 3.2619
O 3.2716 2.9074 3.8283
O 3.4006 1.1806 1.0234
O 3.4006 4.6342 1.0234
O 3.4452 1.1993 6.0309
O 3.4452 4.6155 6.0309
O 3.4715 2.9074 8.7372
O 3.7610 0.0000 8.2694
```

Output
SG	No. 6

Below is a relaxed structure of Mn3NiP4O16, with properties calculated at the PBE+U level.

The structure in extended XYZ format:
```
24
Lattice="4.8333 0.0000 0.0000 0.0000 5.9179 0.0000 -0.0223 0.0000 9.8305" Properties=species:S:1:pos:R:3 pbc="T T T"
Mn 0.0000 0.0000 0.0000
Mn 0.4674 2.9589 4.3612
Mn 2.9167 0.0000 4.9569
Ni 2.4088 2.9589 9.3799
P 0.6226 0.0000 3.1381
P 2.1812 0.0000 8.0806
P 3.0378 2.9589 6.1952
P 4.6621 2.9589 1.2811
O 0.9735 0.0000 1.6424
O 1.3272 1.1964 3.8705
O 1.3272 4.7215 3.8705
O 1.3342 2.9589 1.1749
O 1.4493 1.1895 8.7979
O 1.4493 4.7284 8.7979
O 1.5140 2.9589 5.9729
O 1.8842 0.0000 6.5697
O 3.3804 2.9589 7.6659
O 3.7115 0.0000 8.2609
O 3.7466 1.7654 5.4344
O 3.7466 4.1525 5.4344
O 3.9317 0.0000 3.3251
O 3.9488 1.7498 0.5423
O 3.9488 4.1681 0.5423
O 4.2420 2.9589 2.7717
```

Output
SG	No. 6

| no. | energy (eV/atom) | formation energy from the elements (meV per atom) |
| --- | --- | --- |
| 1 | -5.20 | -1265 |
| 2 | -6.79 | -1746 |
| 3 | -6.76 | -1719 |
| 4 | -6.78 | -1738 |
| 5 | -6.52 | -2064 |
| 6 | -7.13 | -2315 |